No. 1
Below is a geometry-optimized Ca2TiMnO6 structure, with properties calculated at the GGA+U level.

Values from the calculation:
- corrected total energy (MP2020 scheme) (eV per formula unit) = -81.01
- offset from the most stable computed form (meV/atom) = 15.0
- calculated formation energy (eV/atom) = -3.026

Cell lengths 5.358, 9.412, 9.313 Å; angles 98.60, 106.72, 90.00 degrees
Positions (direct):
Ca1 0.562 0.188 0.125
Ca2 0.312 0.437 0.625
Ca3 0.063 0.688 0.125
Ca4 0.813 0.938 0.625
Ca5 0.938 0.312 0.875
Ca6 0.687 0.562 0.375
Ca7 0.437 0.813 0.875
Ca8 0.188 0.063 0.375
Ti1 0.000 0.000 0.000
Ti2 0.750 0.250 0.500
Ti3 0.500 0.500 0.000
Ti4 0.250 0.750 0.500
Mn1 0.875 0.625 0.750
Mn2 0.625 0.875 0.250
Mn3 0.375 0.125 0.750
Mn4 0.125 0.375 0.250
O1 0.063 0.190 0.126
O2 0.813 0.440 0.626
O3 0.563 0.690 0.126
O4 0.313 0.940 0.626
O5 0.437 0.310 0.874
O6 0.187 0.560 0.374
O7 0.937 0.810 0.874
O8 0.687 0.060 0.374
O9 0.259 0.049 0.901
O10 0.009 0.299 0.401
O11 0.759 0.549 0.901
O12 0.509 0.799 0.401
O13 0.491 0.201 0.599
O14 0.241 0.451 0.099
O15 0.991 0.701 0.599
O16 0.741 0.951 0.099
O17 0.726 0.077 0.846
O18 0.476 0.327 0.346
O19 0.226 0.577 0.846
O20 0.976 0.827 0.346
O21 0.024 0.173 0.654
O22 0.774 0.423 0.154
O23 0.524 0.673 0.654
O24 0.274 0.923 0.154

No. 2
Below is a geometry-optimized Ca4TiMn3O11 structure, with properties calculated at the GGA+U level.

Values from the calculation:
- corrected total energy (MP2020 scheme) (eV per formula unit) = -150.88
- offset from the most stable computed form (meV/atom) = 0.0
- symmetry = No. 1
- calculated formation energy (eV/atom) = -2.792

Cell lengths 5.438, 10.892, 15.737 Å; angles 90.36, 89.75, 91.26 degrees
Positions (direct):
Ca1 0.031 0.984 0.116
Ca2 0.995 0.011 0.626
Ca3 0.967 0.544 0.121
Ca4 0.001 0.524 0.624
Ca5 0.999 0.499 0.394
Ca6 0.993 0.500 0.854
Ca7 0.002 0.965 0.392
Ca8 0.020 0.966 0.865
Ca9 0.507 0.237 0.399
Ca10 0.518 0.233 0.857
Ca11 0.507 0.731 0.392
Ca12 0.495 0.728 0.860
Ca13 0.452 0.220 0.117
Ca14 0.523 0.268 0.627
Ca15 0.505 0.774 0.120
Ca16 0.513 0.770 0.625
Ti1 0.525 0.989 0.989
Ti2 0.020 0.233 0.991
Ti3 0.866 0.268 0.234
Ti4 0.544 0.983 0.258
Mn1 0.498 0.002 0.503
Mn2 0.465 0.503 0.990
Mn3 0.505 0.497 0.505
Mn4 0.012 0.250 0.510
Mn5 0.989 0.743 0.995
Mn6 0.007 0.750 0.504
Mn7 0.016 0.250 0.748
Mn8 0.011 0.746 0.252
Mn9 0.003 0.752 0.745
Mn10 0.503 0.002 0.747
Mn11 0.503 0.515 0.256
Mn12 0.507 0.499 0.745
O1 0.218 0.110 0.779
O2 0.166 0.583 0.254
O3 0.226 0.611 0.760
O4 0.698 0.394 0.178
O5 0.804 0.395 0.729
O6 0.847 0.916 0.243
O7 0.791 0.895 0.732
O8 0.589 0.170 0.253
O9 0.713 0.150 0.736
O10 0.706 0.662 0.226
O11 0.718 0.644 0.726
O12 0.295 0.357 0.770
O13 0.323 0.851 0.272
O14 0.289 0.861 0.771
O15 0.290 0.356 0.487
O16 0.244 0.359 0.030
O17 0.287 0.861 0.480
O18 0.297 0.856 0.979
O19 0.724 0.154 0.020
O20 0.710 0.150 0.515
O21 0.694 0.637 0.028
O22 0.720 0.642 0.521
O23 0.801 0.393 0.518
O24 0.794 0.892 0.014
O25 0.784 0.895 0.517
O26 0.210 0.111 0.473
O27 0.229 0.106 0.982
O28 0.232 0.610 0.489
O29 0.161 0.597 0.985
O30 0.574 0.011 0.375
O31 0.596 0.012 0.878
O32 0.562 0.497 0.380
O33 0.564 0.504 0.868
O34 0.427 0.484 0.625
O35 0.458 0.996 0.133
O36 0.429 0.996 0.623
O37 0.057 0.193 0.156
O38 0.088 0.229 0.631
O39 0.076 0.755 0.125
O40 0.080 0.752 0.625
O41 0.997 0.299 0.336
O42 0.943 0.280 0.885
O43 0.941 0.746 0.378
O44 0.927 0.748 0.870

No. 3
Below is a geometry-optimized Ca4TiMn3O11 structure, with properties calculated at the GGA+U level.

Values from the calculation:
- corrected total energy (MP2020 scheme) (eV per formula unit) = -149.83
- offset from the most stable computed form (meV/atom) = 55.2
- symmetry = No. 25
- calculated formation energy (eV/atom) = -2.737

Cell lengths 7.756, 7.733, 7.647 Å; angles 90.00, 90.00, 90.00 degrees
Positions (direct):
Ca1 0.246 0.254 0.244
Ca2 0.250 0.260 0.718
Ca3 0.246 0.746 0.244
Ca4 0.250 0.740 0.718
Ca5 0.754 0.254 0.244
Ca6 0.750 0.260 0.718
Ca7 0.754 0.746 0.244
Ca8 0.750 0.740 0.718
Ti1 0.000 0.000 0.986
Ti2 0.500 0.000 0.013
Mn1 0.000 0.000 0.494
Mn2 0.000 0.500 0.009
Mn3 0.000 0.500 0.494
Mn4 0.500 0.000 0.496
Mn5 0.500 0.500 0.996
Mn6 0.500 0.500 0.501
O1 0.000 0.000 0.756
O2 0.000 0.500 0.252
O3 0.000 0.500 0.753
O4 0.500 0.000 0.255
O5 0.500 0.000 0.754
O6 0.500 0.500 0.750
O7 0.241 0.000 0.042
O8 0.247 0.000 0.487
O9 0.257 0.500 0.032
O10 0.253 0.500 0.492
O11 0.759 0.000 0.042
O12 0.753 0.000 0.487
O13 0.743 0.500 0.032
O14 0.747 0.500 0.492
O15 0.000 0.247 0.025
O16 0.000 0.248 0.488
O17 0.000 0.753 0.025
O18 0.000 0.752 0.488
O19 0.500 0.254 0.024
O20 0.500 0.256 0.481
O21 0.500 0.746 0.024
O22 0.500 0.744 0.481